Density functional theory data (PBE) for a relaxed structure of Eu4Au2O9.

Cell: 11.9960 6.1814 11.9410 Å, 90.00 90.00 90.00°
Closest atoms and distances in Å follow each position.
Space group Pbcn (No. 60)
Asymmetric unit:
Eu (0.0046, 0.2430, 0.0878)  7 O 2.36-2.55
Eu (0.1600, 0.1987, 0.7606)  7 O 2.37-2.59
Au (0.2311, 0.4238, 0.5101)  4 O 2.01-2.05
O (0.0000, 0.0245, 0.2500)  4 Eu 2.36-2.37
O (0.0797, 0.3935, 0.5865)  1 Au 2.04
O (0.1132, 0.0643, 0.9449)  1 Au 2.03
O (0.1641, 0.4446, 0.3527)  1 Au 2.05
O (0.1951, 0.1231, 0.1592)  1 Au 2.01

Density functional theory data (PBE) for a relaxed structure of Ca2Al4Si4O21.

Cell: 21.4904 8.9612 9.2922 Å, 90.00 91.60 90.00°
Closest atoms and distances in Å follow each position.
Space group C2/c (No. 15)
Asymmetric unit:
Ca (0.1564, 0.2120, 0.0268)  6 O 2.37-2.52
Al (0.1010, 0.4240, 0.4073)  3 O 1.70-1.78
Al (0.2013, 0.1739, 0.7063)  4 O 1.73-1.79
Si (0.0646, 0.2904, 0.7162)  4 O 1.62-1.67
Si (0.2379, 0.4797, 0.5421)  4 O 1.60-1.66
O (0.0000, 0.1984, 0.7500)  2 Si 1.65
O (0.0275, 0.0114, 0.9877)  1 O 1.23
O (0.0623, 0.4390, 0.8145)  1 Si 1.62, 1 Al 1.70
O (0.0689, 0.2763, 0.1630)  1 O 1.36
O (0.0722, 0.3194, 0.5452)  1 Si 1.62, 1 Al 1.72
O (0.1190, 0.2885, 0.2553)  1 O 1.36
O (0.1256, 0.1897, 0.7754)  1 Si 1.67, 1 Al 1.77
O (0.1707, 0.4830, 0.9634)  1 Si 1.64, 1 Al 1.78
O (0.2060, 0.0291, 0.5769)  1 Si 1.66, 1 Al 1.77
O (0.2360, 0.3349, 0.6430)  1 Si 1.60, 1 Al 1.73
O (0.2443, 0.1359, 0.8703)  1 Si 1.66, 1 Al 1.79

Density functional theory data (PBE) for a relaxed structure of Rb4Te8O23.

Cell: 20.1913 14.9427 7.4311 Å, 90.00 90.00 90.00°
Closest atoms and distances in Å follow each position.
Space group Pna2_1 (No. 33)
Asymmetric unit:
Rb (0.0626, 0.2446, 0.0000)  7 O 2.87-3.20
Rb (0.0711, 0.7490, 0.9993)  8 O 3.07-3.36
Rb (0.1761, 0.4961, 0.9984)  6 O 2.93-3.24
Rb (0.1865, 0.9942, 0.9992)  10 O 3.05-3.41
Te (0.0002, 0.5005, 0.2451)  6 O 1.89-2.01
Te (0.0006, 0.9997, 0.2483)  6 O 1.95-2.01
Te (0.1086, 0.1279, 0.5005)  3 O 1.94-2.07
Te (0.1226, 0.3716, 0.4949)  6 O 1.95-1.97
Te (0.1289, 0.6172, 0.4975)  3 O 1.99-2.04
Te (0.1353, 0.8761, 0.4998)  1 O 1.85
Te (0.2437, 0.2374, 0.2480)  6 O 1.90-2.02
Te (0.2436, 0.2403, 0.7486)  6 O 1.90-2.02
O (0.0106, 0.4562, 0.9956)  2 Te 1.98
O (0.0318, 0.0262, 0.9983)  2 Te 2.00-2.01
O (0.0318, 0.1198, 0.6848)  2 Te 1.96-2.07
O (0.0334, 0.1185, 0.3123)  2 Te 1.95-2.07
O (0.0579, 0.3948, 0.6841)  2 Te 1.95-2.01
O (0.0589, 0.3957, 0.3035)  2 Te 1.95-2.01
O (0.0744, 0.5754, 0.7656)  1 Te 1.89
O (0.0748, 0.5771, 0.2278)  1 Te 1.90
O (0.0784, 0.7787, 0.4972)  1 Te 1.85
O (0.0809, 0.2523, 0.4953)  2 Te 1.94-1.97
O (0.0872, 0.9520, 0.6993)  2 Te 1.95-2.10
O (0.0882, 0.9512, 0.2978)  2 Te 1.95-2.10
O (0.1614, 0.4916, 0.4942)  2 Te 1.96-1.99
O (0.1668, 0.1649, 0.7422)  1 Te 1.92
O (0.1679, 0.1604, 0.2586)  1 Te 1.92
O (0.1820, 0.8155, 0.7462)  1 Te 1.90
O (0.1834, 0.8210, 0.2520)  1 Te 1.90
O (0.1867, 0.3447, 0.3065)  2 Te 1.95-2.02
O (0.1876, 0.3475, 0.6834)  2 Te 1.95-2.02
O (0.2011, 0.6366, 0.3108)  2 Te 1.97-2.03
O (0.2036, 0.6321, 0.6798)  2 Te 1.97-2.04
O (0.2197, 0.2747, 0.9990)  2 Te 1.99
O (0.2345, 0.7052, 0.9992)  2 Te 1.98

ΔH_f (0 K)
In order: -2.32 -2.47 -1.64
Unit: eV/atom